No. 1
# Cr12BP3

A relaxed structure of Cr12BP3 (PBE, the Materials Project).

a b c (Å): 4.4624 6.6869 6.7491
angles (deg): 85.43 108.95 108.90
Sites, in units of the cell vectors:
Cr 0.8334 0.9765 0.1714
Cr 0.3349 0.1740 0.0216
Cr 0.6728 0.0150 0.8167
Cr 0.5476 0.6181 0.9391
Cr 0.6525 0.6766 0.6200
Cr 0.0335 0.4041 0.6776
Cr 0.3970 0.9480 0.3967
Cr 0.9853 0.3848 0.0566
Cr 0.9795 0.6284 0.3441
Cr 0.1423 0.8155 0.9617
Cr 0.0635 0.0299 0.6034
Cr 0.3549 0.3329 0.3853
B 0.2207 0.7507 0.6675
P 0.5372 0.3298 0.7507
P 0.4565 0.6669 0.2469
P 0.7885 0.2488 0.3407

- SG: No. 1
- Uncorrected energy: -8.973 eV/atom
- E_form: -0.301 eV/atom
- Size of the total moment: 0.00 Bohr magnetons per cell

=====

No. 2
# PrCrB4

A relaxed structure of PrCrB4 (PBE, the Materials Project).

a b c (Å): 3.5708 6.0565 11.7159
angles (deg): 90.00 90.00 90.00
Sites, in units of the cell vectors:
Pr 0.0000 0.1236 0.1515
Pr 0.0000 0.3764 0.6515
Pr 0.0000 0.6236 0.3485
Pr 0.0000 0.8764 0.8485
B 0.5000 0.7245 0.6807
B 0.5000 0.2755 0.3193
B 0.5000 0.5222 0.8121
B 0.5000 0.3892 0.0455
B 0.5000 0.1108 0.5455
B 0.5000 0.2245 0.8193
B 0.5000 0.9778 0.3121
B 0.5000 0.7755 0.1807
B 0.5000 0.8581 0.0329
B 0.5000 0.6108 0.9545
B 0.5000 0.8892 0.4545
B 0.5000 0.3581 0.4671
B 0.5000 0.0222 0.6879
B 0.5000 0.6419 0.5329
B 0.5000 0.4778 0.1879
B 0.5000 0.1419 0.9671
Cr 0.0000 0.1191 0.4227
Cr 0.0000 0.8809 0.5773
Cr 0.0000 0.3809 0.9227
Cr 0.0000 0.6191 0.0773

- SG: No. 55
- Uncorrected energy: -7.344 eV/atom
- E_form: -0.485 eV/atom
- Size of the total moment: 0.00 Bohr magnetons per cell

=====

No. 3
# CrRe5B2

A relaxed structure of CrRe5B2 (PBE, the Materials Project).

a b c (Å): 4.8877 4.8877 7.2122
angles (deg): 90.00 90.00 145.37
Sites, in units of the cell vectors:
B 0.2448 0.7552 0.0000
B 0.7432 0.2568 0.5000
Re 0.8681 0.1319 0.8179
Re 0.8681 0.1319 0.1821
Re 0.1369 0.8631 0.3043
Re 0.4272 0.5728 0.5000
Re 0.1369 0.8631 0.6957
Cr 0.5749 0.4251 0.0000

- SG: No. 38
- Uncorrected energy: -10.862 eV/atom
- E_form: -0.207 eV/atom
- Size of the total moment: 0.01 Bohr magnetons per cell

=====

No. 4
# CrRe3B4

A relaxed structure of CrRe3B4 (PBE, the Materials Project).

a b c (Å): 8.9450 8.9450 8.9450
angles (deg): 160.76 160.51 27.53
Sites, in units of the cell vectors:
B 0.0898 0.5898 0.5000
B 0.6519 0.6519 0.0000
B 0.4121 0.9121 0.5000
B 0.3524 0.3524 0.0000
Re 0.8096 0.8096 0.0000
Re 0.5463 0.0463 0.5000
Re 0.1941 0.1941 0.0000
Cr 0.9437 0.4437 0.5000

- SG: No. 44
- Uncorrected energy: -9.412 eV/atom
- E_form: -0.199 eV/atom
- Size of the total moment: 1.47 Bohr magnetons per cell

=====

No. 5
# CrB2Ru

A relaxed structure of CrB2Ru (PBE, the Materials Project).

a b c (Å): 2.9117 4.3142 5.8520
angles (deg): 90.00 90.00 90.00
Sites, in units of the cell vectors:
B 0.5000 0.1327 0.9660
B 0.0000 0.3493 0.0291
B 0.0000 0.6507 0.5291
B 0.5000 0.8673 0.4660
Ru 0.5000 0.3633 0.3218
Ru 0.5000 0.6367 0.8218
Cr 0.0000 0.8722 0.1832
Cr 0.0000 0.1278 0.6832

- SG: No. 26
- Uncorrected energy: -8.368 eV/atom
- E_form: -0.296 eV/atom
- Size of the total moment: 0.00 Bohr magnetons per cell

=====

No. 6
# Ti8Cr3B8Ru18

A relaxed structure of Ti8Cr3B8Ru18 (PBE, the Materials Project).

a b c (Å): 17.6261 17.6261 2.9749
angles (deg): 90.00 90.00 90.17
Sites, in units of the cell vectors:
Ru 0.0705 0.4016 0.5000
Ru 0.8327 0.2890 0.5000
Ru 0.0980 0.5695 0.5000
Ru 0.2142 0.3333 0.5000
Ru 0.7110 0.1673 0.5000
Ru 0.8312 0.0507 0.5000
Ru 0.9171 0.7540 0.5000
Ru 0.7858 0.6667 0.5000
Ru 0.6667 0.7858 0.5000
Ru 0.3322 0.4468 0.5000
Ru 0.4198 0.7451 0.5000
Ru 0.4305 0.9020 0.5000
Ru 0.5984 0.9295 0.5000
Ru 0.7451 0.4198 0.5000
Ru 0.0829 0.2460 0.5000
Ru 0.0831 0.0831 0.5000
Ru 0.5819 0.4181 0.5000
Ru 0.2460 0.0829 0.5000
Ru 0.1673 0.7110 0.5000
Ru 0.1688 0.9493 0.5000
Ru 0.9295 0.5984 0.5000
Ru 0.2890 0.8327 0.5000
Ru 0.9493 0.1688 0.5000
Ru 0.5695 0.0980 0.5000
Ru 0.0507 0.8312 0.5000
Ru 0.2549 0.5802 0.5000
Ru 0.6678 0.5532 0.5000
Ru 0.4016 0.0705 0.5000
Ru 0.4181 0.5819 0.5000
Ru 0.9020 0.4305 0.5000
Ru 0.7540 0.9171 0.5000
Ru 0.3333 0.2142 0.5000
Ru 0.9169 0.9169 0.5000
Ru 0.4468 0.3322 0.5000
Ru 0.5802 0.2549 0.5000
Ru 0.5532 0.6678 0.5000
B 0.3784 0.8300 0.0000
B 0.9627 0.8348 0.0000
B 0.4629 0.6648 0.0000
B 0.6216 0.1700 0.0000
B 0.6648 0.4629 0.0000
B 0.5371 0.3352 0.0000
B 0.6698 0.8786 0.0000
B 0.1214 0.3302 0.0000
B 0.1652 0.0373 0.0000
B 0.8786 0.6698 0.0000
B 0.1700 0.6216 0.0000
B 0.3352 0.5371 0.0000
B 0.8348 0.9627 0.0000
B 0.0373 0.1652 0.0000
B 0.8300 0.3784 0.0000
B 0.3302 0.1214 0.0000
Cr 0.3281 0.3281 0.0000
Cr 0.6719 0.6719 0.0000
Cr 0.5464 0.5464 0.0000
Cr 0.0462 0.9538 0.0000
Cr 0.4536 0.4536 0.0000
Cr 0.9538 0.0462 0.0000
Ti 0.3126 0.9646 0.0000
Ti 0.0354 0.6874 0.0000
Ti 0.1713 0.8287 0.0000
Ti 0.5346 0.8136 0.0000
Ti 0.8024 0.8024 0.0000
Ti 0.9646 0.3126 0.0000
Ti 0.1864 0.4654 0.0000
Ti 0.0000 0.5000 0.0000
Ti 0.6874 0.0354 0.0000
Ti 0.6982 0.3018 0.0000
Ti 0.8287 0.1713 0.0000
Ti 0.5000 0.0000 0.0000
Ti 0.3018 0.6982 0.0000
Ti 0.1976 0.1976 0.0000
Ti 0.4654 0.1864 0.0000
Ti 0.8136 0.5346 0.0000

- SG: No. 65
- Uncorrected energy: -8.971 eV/atom
- E_form: -0.525 eV/atom
- Size of the total moment: 3.44 Bohr magnetons per cell